No. 1
DFT (PBE) results for a geometry-optimized NaSrMg14 structure.

Values from the calculation:
Final energy: -24.4 eV per cell
Energy above the lowest structure with this stoichiometry: 0.0 meV/atom

Geometry as POSCAR:
```
NaSrMg14
1.0
-0.262 -5.338 -3.986
1.150 -0.763 6.522
-10.343 -0.785 1.732
Mg Na Sr
14 1 1
direct
0.663 0.326 0.625
0.666 0.331 0.125
0.174 0.837 0.625
0.823 0.162 0.370
0.666 0.834 0.125
0.833 0.667 0.378
0.833 0.667 0.872
0.338 0.677 0.880
0.169 0.834 0.125
0.338 0.162 0.880
0.338 0.162 0.370
0.663 0.837 0.625
0.338 0.677 0.370
0.823 0.162 0.880
0.167 0.333 0.125
0.167 0.333 0.625
```

---

No. 2
DFT (PBE) results for a geometry-optimized Ce2Ta2O9 structure.

Values from the calculation:
Final energy: -240.3 eV per cell

Geometry as POSCAR:
```
Ce2Ta2O9
1.0
3.864 0.000 0.000
0.000 6.538 0.000
0.000 6.420 14.258
O Ta Ce
18 4 4
direct
0.495 0.652 0.218
0.502 0.063 0.681
0.995 0.348 0.282
0.001 0.252 0.558
0.005 0.652 0.718
0.498 0.510 0.584
0.502 0.490 0.416
0.998 0.490 0.916
0.498 0.937 0.319
0.998 0.063 0.181
0.499 0.252 0.058
0.500 0.000 0.500
0.999 0.748 0.442
0.002 0.510 0.084
0.505 0.348 0.782
0.501 0.748 0.942
0.000 0.000 0.000
0.002 0.937 0.819
0.004 0.763 0.959
0.496 0.763 0.459
0.504 0.237 0.541
0.996 0.237 0.041
0.008 0.302 0.716
0.992 0.698 0.284
0.508 0.698 0.784
0.492 0.302 0.216
```

---

No. 3
DFT (PBE) results for a geometry-optimized MgCd structure.

Values from the calculation:
Final energy: -5.4 eV per cell

Geometry as POSCAR:
```
MgCd
1.0
3.255 0.000 0.000
0.000 4.976 0.000
0.000 0.000 5.346
Cd Mg
2 2
direct
0.000 0.250 0.818
0.000 0.750 0.182
0.500 0.250 0.317
0.500 0.750 0.683
```

---

No. 4
DFT (PBE) results for a geometry-optimized KGaTe2 structure.

Values from the calculation:
Final energy: -105.7 eV per cell

Geometry as POSCAR:
```
KGaTe2
1.0
5.991 5.990 0.000
-5.991 5.990 0.000
0.000 2.980 16.654
Ga Te K
8 16 8
direct
0.913 0.291 0.337
0.087 0.709 0.663
0.291 0.913 0.837
0.582 0.709 0.664
0.709 0.087 0.163
0.418 0.291 0.336
0.291 0.418 0.836
0.709 0.582 0.164
0.360 0.733 0.565
0.426 0.051 0.250
0.640 0.267 0.435
0.574 0.949 0.750
0.574 0.426 0.750
0.143 0.265 0.433
0.265 0.143 0.933
0.949 0.574 0.250
0.948 0.052 0.250
0.857 0.735 0.567
0.051 0.426 0.750
0.267 0.640 0.935
0.735 0.857 0.067
0.052 0.948 0.750
0.733 0.360 0.065
0.426 0.574 0.250
0.779 0.151 0.893
0.346 0.221 0.619
0.654 0.779 0.381
0.221 0.346 0.119
0.779 0.654 0.881
0.151 0.779 0.393
0.849 0.221 0.607
0.221 0.849 0.107
```

---

No. 5
DFT (PBE) results for a geometry-optimized MgMnTlV4S8 structure.

Values from the calculation:
Final energy: -93.4 eV per cell
Energy above the lowest structure with this stoichiometry: 99.7 meV/atom

Geometry as POSCAR:
```
MgMnTlV4S8
1.0
-2.158 -2.558 0.614
2.720 -0.284 8.406
-5.770 7.370 0.981
S V Mg Mn Tl
8 4 1 1 1
direct
0.813 0.985 0.627
0.110 0.362 0.219
0.240 0.669 0.478
0.763 0.332 0.526
0.580 0.693 0.159
0.453 0.367 0.905
0.911 0.661 0.820
0.144 0.986 0.287
0.666 0.520 0.330
0.254 0.118 0.509
0.698 0.847 0.394
0.345 0.521 0.687
0.886 0.228 0.772
0.024 0.533 0.048
0.487 0.952 0.973
```

---

No. 6
DFT (PBE) results for a geometry-optimized MnCoN2 structure.

Values from the calculation:
Final energy: -33.5 eV per cell

Geometry as POSCAR:
```
MnCoN2
1.0
-3.158 -1.266 3.935
-1.673 -3.779 3.160
-0.330 -1.709 4.903
Co N Mn
1 2 1
direct
0.309 0.309 0.309
0.438 0.438 0.438
0.934 0.934 0.934
0.814 0.814 0.814
```

---

No. 7
DFT (PBE) results for a geometry-optimized PrAl20Cr2 structure.

Values from the calculation:
Final energy: -204.6 eV per cell

Geometry as POSCAR:
```
PrAl20Cr2
1.0
4.662 -8.501 3.388
-4.642 -5.985 6.937
-3.545 -9.241 -2.742
Al Cr Pr
40 4 2
direct
0.387 0.113 0.113
0.113 0.387 0.387
0.568 0.297 0.837
0.297 0.297 0.837
0.137 0.863 0.863
0.568 0.297 0.297
0.137 0.863 0.137
0.625 0.625 0.625
0.297 0.297 0.568
0.682 0.953 0.953
0.953 0.682 0.413
0.953 0.953 0.682
0.863 0.137 0.863
0.568 0.837 0.297
0.297 0.568 0.837
0.387 0.113 0.387
0.413 0.953 0.682
0.837 0.297 0.568
0.625 0.625 0.125
0.953 0.953 0.413
0.682 0.413 0.953
0.387 0.387 0.113
0.297 0.837 0.568
0.113 0.113 0.387
0.413 0.953 0.953
0.413 0.682 0.953
0.953 0.413 0.682
0.625 0.125 0.625
0.297 0.568 0.297
0.682 0.953 0.413
0.837 0.568 0.297
0.837 0.297 0.297
0.863 0.863 0.137
0.297 0.837 0.297
0.953 0.413 0.953
0.953 0.682 0.953
0.137 0.137 0.863
0.113 0.387 0.113
0.125 0.625 0.625
0.863 0.137 0.137
0.125 0.625 0.125
0.625 0.125 0.125
0.125 0.125 0.625
0.125 0.125 0.125
0.750 0.750 0.750
0.500 0.500 0.500
```

---

No. 8
DFT (PBE) results for a geometry-optimized Rb2YTlBr6 structure.

Values from the calculation:
Final energy: -36.9 eV per cell

Geometry as POSCAR:
```
Rb2YTlBr6
1.0
1.375 -1.902 8.144
-6.556 -1.235 5.228
-1.714 -7.784 2.882
Y Br Tl Rb
1 6 1 2
direct
0.000 0.000 0.000
0.767 0.767 0.233
0.233 0.233 0.767
0.767 0.233 0.233
0.233 0.767 0.233
0.767 0.233 0.767
0.233 0.767 0.767
0.500 0.500 0.500
0.750 0.750 0.750
0.250 0.250 0.250
```

---

- Which formula does entry 2 have?
  Ce2Ta2O9